An optimized crystal structure of Li11La12Fe3O28, computed with GGA+U.

Cell lengths 7.532, 13.304, 13.304 Å; angles 90.00, 90.00, 90.00 degrees
Fractional positions:
Li1 0.157 0.402 0.902
Li2 0.500 0.000 0.000
Li3 0.500 0.621 0.121
Li4 0.350 0.423 0.077
Li5 0.157 0.902 0.598
Li6 0.500 0.379 0.879
Li7 0.157 0.598 0.098
Li8 0.843 0.402 0.902
Li9 0.650 0.077 0.577
Li10 0.500 0.500 0.500
Li11 0.650 0.577 0.923
Li12 0.350 0.577 0.923
Li13 0.350 0.923 0.423
Li14 0.843 0.598 0.098
Li15 0.650 0.423 0.077
Li16 0.650 0.923 0.423
Li17 0.500 0.121 0.379
Li18 0.157 0.098 0.402
Li19 0.500 0.879 0.621
Li20 0.350 0.077 0.577
Li21 0.843 0.902 0.598
Li22 0.843 0.098 0.402
O1 0.197 0.341 0.159
O2 0.500 0.517 0.819
O3 0.000 0.190 0.471
O4 0.500 0.319 0.017
O5 0.000 0.879 0.892
O6 0.748 0.500 0.500
O7 0.000 0.529 0.190
O8 0.500 0.483 0.181
O9 0.000 0.121 0.108
O10 0.000 0.621 0.392
O11 0.803 0.659 0.841
O12 0.500 0.181 0.517
O13 0.000 0.608 0.621
O14 0.000 0.108 0.879
O15 0.500 0.379 0.378
O16 0.197 0.841 0.341
O17 0.000 0.810 0.529
O18 0.803 0.159 0.659
O19 0.813 0.000 0.500
O20 0.500 0.621 0.622
O21 0.712 0.183 0.317
O22 0.500 0.121 0.878
O23 0.748 0.000 0.000
O24 0.197 0.159 0.659
O25 0.197 0.659 0.841
O26 0.252 0.500 0.500
O27 0.500 0.622 0.379
O28 0.500 0.983 0.319
O29 0.187 0.500 0.000
O30 0.500 0.879 0.122
O31 0.500 0.681 0.983
O32 0.000 0.690 0.029
O33 0.288 0.683 0.183
O34 0.712 0.683 0.183
O35 0.288 0.183 0.317
O36 0.813 0.500 0.000
O37 0.000 0.392 0.379
O38 0.712 0.817 0.683
O39 0.712 0.317 0.817
O40 0.252 0.000 0.000
O41 0.000 0.971 0.690
O42 0.803 0.841 0.341
O43 0.500 0.819 0.483
O44 0.000 0.029 0.310
O45 0.288 0.317 0.817
O46 0.187 0.000 0.500
O47 0.000 0.892 0.121
O48 0.288 0.817 0.683
O49 0.500 0.878 0.879
O50 0.500 0.122 0.121
O51 0.803 0.341 0.159
O52 0.500 0.378 0.621
O53 0.000 0.471 0.810
O54 0.000 0.379 0.608
O55 0.000 0.310 0.971
O56 0.500 0.017 0.681
La1 0.260 0.491 0.700
La2 0.740 0.491 0.700
La3 0.260 0.700 0.509
La4 0.000 0.241 0.259
La5 0.260 0.200 0.991
La6 0.500 0.222 0.722
La7 0.260 0.300 0.491
La8 0.500 0.278 0.222
La9 0.740 0.009 0.200
La10 0.000 0.741 0.241
La11 0.500 0.722 0.778
La12 0.500 0.778 0.278
La13 0.740 0.991 0.800
La14 0.000 0.759 0.741
La15 0.260 0.800 0.009
La16 0.260 0.991 0.800
La17 0.740 0.200 0.991
La18 0.740 0.300 0.491
La19 0.260 0.009 0.200
La20 0.000 0.259 0.759
La21 0.260 0.509 0.300
La22 0.740 0.509 0.300
La23 0.740 0.800 0.009
La24 0.740 0.700 0.509
Fe1 0.000 0.500 0.500
Fe2 0.000 0.086 0.586
Fe3 0.000 0.586 0.914
Fe4 0.000 0.914 0.414
Fe5 0.000 0.000 0.000
Fe6 0.000 0.414 0.086

V   1333.22 Å³ per cell
Energy of formation   -3027.5 meV/atom

---

An optimized crystal structure of LiV2O3F3, computed with GGA+U.

Cell lengths 5.086, 5.132, 13.584 Å; angles 88.05, 88.70, 61.48 degrees
Fractional positions:
F1 0.988 0.333 0.081
F2 0.396 0.011 0.245
F3 0.284 0.670 0.416
F4 0.993 0.364 0.744
F5 0.328 0.924 0.581
F6 0.574 0.409 0.242
F7 0.702 0.352 0.577
F8 0.066 0.679 0.913
F9 0.691 0.248 0.912
O1 0.383 0.597 0.752
O2 0.730 0.963 0.083
O3 0.352 0.718 0.079
O4 0.627 0.980 0.749
O5 0.247 0.092 0.908
O6 0.053 0.283 0.419
O7 0.999 0.584 0.246
O8 0.911 0.737 0.576
O9 0.667 0.056 0.409
V1 0.643 0.698 0.679
V2 0.351 0.313 0.833
V3 0.054 0.964 0.011
V4 0.308 0.325 0.344
V5 0.948 0.997 0.501
V6 0.708 0.681 0.166
Li1 0.654 0.672 0.463
Li2 0.019 0.978 0.795
Li3 0.377 0.326 0.126

V   311.39 Å³ per cell
Energy of formation   -2725.7 meV/atom

---

An optimized crystal structure of CsVTeO6, computed with GGA+U.

Cell lengths 7.198, 7.198, 7.198 Å; angles 120.73, 119.31, 89.97 degrees
Fractional positions:
O1 0.185 0.320 0.258
O2 0.438 0.680 0.365
O3 0.172 0.922 0.250
O4 0.562 0.927 0.242
O5 0.551 0.301 0.250
O6 0.815 0.680 0.742
O7 0.438 0.073 0.758
O8 0.815 0.073 0.135
O9 0.449 0.699 0.750
O10 0.185 0.927 0.865
O11 0.562 0.320 0.635
O12 0.828 0.078 0.750
Cs1 0.870 0.620 0.250
Cs2 0.130 0.380 0.750
V1 0.500 0.500 0.500
V2 0.500 0.000 0.000
Te1 0.000 0.000 0.000
Te2 0.500 0.000 0.500

V   263.62 Å³ per cell
Energy of formation   -1972.9 meV/atom

---

An optimized crystal structure of Fe10O9F11, computed with GGA+U.

Cell lengths 4.754, 4.754, 15.534 Å; angles 89.99, 89.99, 91.94 degrees
Fractional positions:
F1 0.208 0.805 0.698
F2 0.195 0.792 0.302
F3 0.296 0.293 0.398
F4 0.296 0.294 0.197
F5 0.801 0.192 0.098
F6 0.191 0.809 0.500
F7 0.707 0.704 0.602
F8 0.194 0.810 0.900
F9 0.190 0.806 0.100
F10 0.808 0.199 0.902
F11 0.706 0.704 0.803
Fe1 0.518 0.482 0.500
Fe2 0.502 0.455 0.702
Fe3 0.971 0.986 0.207
Fe4 0.545 0.498 0.298
Fe5 0.487 0.492 0.906
Fe6 0.508 0.513 0.094
Fe7 0.999 0.050 0.598
Fe8 0.950 0.001 0.402
Fe9 0.001 0.999 0.000
Fe10 0.014 0.029 0.793
O1 0.804 0.196 0.500
O2 0.800 0.189 0.301
O3 0.700 0.704 0.998
O4 0.685 0.686 0.402
O5 0.296 0.300 0.002
O6 0.314 0.315 0.598
O7 0.684 0.681 0.195
O8 0.811 0.200 0.699
O9 0.319 0.316 0.805

V   350.92 Å³ per cell
Energy of formation   -2062.4 meV/atom